No. 1
{
  "formula": "SrCaMn2O6",
  "functional": "PBE with a Hubbard U",
  "state": "optimized geometry",
  "cell": [[-0.0241, -0.4908, 7.6870], [5.5542, -5.3271, -0.3227], [5.3359, 5.5408, 0.3705]],
  "species": ["Mn", "Mn", "Mn", "Mn", "Mn", "Mn", "Mn", "Mn", "O", "O", "O", "O", "O", "O", "O", "O", "O", "O", "O", "O", "O", "O", "O", "O", "O", "O", "O", "O", "O", "O", "O", "O", "Sr", "Sr", "Sr", "Sr", "Ca", "Ca", "Ca", "Ca"],
  "frac_coords": [[0.7500, 0.2500, 0.7509], [0.2500, 0.2500, 0.2491], [0.7500, 0.7500, 0.7509], [0.2500, 0.2500, 0.7509], [0.2500, 0.7500, 0.2491], [0.7500, 0.2500, 0.2491], [0.7500, 0.7500, 0.2491], [0.2500, 0.7500, 0.7509], [0.0000, 0.7500, 0.2456], [0.2500, 0.5000, 0.2496], [0.2480, 0.2480, 0.0000], [0.7520, 0.2480, 0.0000], [0.7480, 0.7480, 0.5000], [0.7520, 0.7520, 0.0000], [0.7500, 0.0000, 0.2456], [0.5000, 0.7500, 0.2496], [0.2520, 0.7480, 0.5000], [0.2500, 0.0000, 0.7544], [0.0000, 0.2500, 0.2456], [0.5000, 0.2500, 0.7504], [0.0000, 0.7500, 0.7544], [0.2480, 0.7520, 0.0000], [0.2500, 0.5000, 0.7504], [0.2500, 0.0000, 0.2456], [0.5000, 0.2500, 0.2496], [0.7500, 0.5000, 0.7504], [0.2520, 0.2520, 0.5000], [0.7480, 0.2520, 0.5000], [0.7500, 0.0000, 0.7544], [0.0000, 0.2500, 0.7544], [0.7500, 0.5000, 0.2496], [0.5000, 0.7500, 0.7504], [0.5000, 0.5000, 0.0000], [0.0000, 0.0000, 0.5000], [0.0000, 0.5000, 0.5000], [0.5000, 0.0000, 0.5000], [0.0000, 0.5000, 0.0000], [0.0000, 0.0000, 0.0000], [0.5000, 0.0000, 0.0000], [0.5000, 0.5000, 0.5000]]
}

***

No. 2
{
  "formula": "Mg6VSnO8",
  "functional": "PBE with a Hubbard U",
  "state": "optimized geometry",
  "cell": [[8.9294, 0.0000, 0.0000], [0.0000, 4.4455, 0.0000], [0.0000, 0.0000, 4.4455]],
  "species": ["O", "O", "O", "O", "O", "O", "O", "O", "Mg", "Mg", "Mg", "Mg", "Mg", "Mg", "V", "Sn"],
  "frac_coords": [[0.7655, 0.0000, 0.0000], [0.5000, 0.0000, 0.5000], [0.2344, 0.0000, 0.0000], [0.5000, 0.5000, 0.0000], [0.2482, 0.5000, 0.5000], [0.0000, 0.5000, 0.0000], [0.7518, 0.5000, 0.5000], [0.0000, 0.0000, 0.5000], [0.2394, 0.0000, 0.5000], [0.7606, 0.0000, 0.5000], [0.7606, 0.5000, 0.0000], [0.5000, 0.5000, 0.5000], [0.2394, 0.5000, 0.0000], [0.0000, 0.5000, 0.5000], [0.0000, 0.0000, 0.0000], [0.5000, 0.0000, 0.0000]]
}

***

No. 3
{
  "formula": "LiMn3B3O9",
  "functional": "PBE with a Hubbard U",
  "state": "optimized geometry",
  "cell": [[-5.5062, 1.0468, -2.5886], [-2.6571, -3.8772, 6.1837], [3.4983, 8.0687, 2.3143]],
  "species": ["Mn", "Mn", "Mn", "Mn", "Mn", "Mn", "O", "O", "O", "O", "O", "O", "O", "O", "O", "O", "O", "O", "O", "O", "O", "O", "O", "O", "Li", "Li", "B", "B", "B", "B", "B", "B"],
  "frac_coords": [[0.9649, 0.7201, 0.0605], [0.3456, 0.6022, 0.5905], [0.6544, 0.3978, 0.4095], [0.2991, 0.0316, 0.7120], [0.7009, 0.9684, 0.2880], [0.0351, 0.2799, 0.9395], [0.5270, 0.8896, 0.7728], [0.0535, 0.1728, 0.6915], [0.3825, 0.5195, 0.3609], [0.1075, 0.7492, 0.5411], [0.6175, 0.4805, 0.6391], [0.4664, 0.1832, 0.6378], [0.8925, 0.2508, 0.4589], [0.7657, 0.4307, 0.8940], [0.1605, 0.8614, 0.9782], [0.4730, 0.1104, 0.2272], [0.6780, 0.8430, 0.0248], [0.5336, 0.8168, 0.3622], [0.9465, 0.8272, 0.3085], [0.2343, 0.5693, 0.1060], [0.3220, 0.1570, 0.9752], [0.8395, 0.1386, 0.0218], [0.7911, 0.5164, 0.2877], [0.2089, 0.4836, 0.7123], [0.3444, 0.6708, 0.9440], [0.6556, 0.3292, 0.0560], [0.0581, 0.3041, 0.6207], [0.6126, 0.3617, 0.7259], [0.6912, 0.9615, 0.9405], [0.9419, 0.6959, 0.3793], [0.3874, 0.6383, 0.2741], [0.3088, 0.0385, 0.0595]]
}

***

| no. | ΔE_f (eV per atom) |
| --- | --- |
| 1 | -2.43 |
| 2 | -2.53 |
| 3 | -2.39 |